A relaxed Cd13In26Se54 crystal, computed with PBE.

Computed properties:
Calculated formation energy ... -73.32 eV per formula unit
Volume ... 30.31 Å³ per atom
Uncorrected energy ... -3.442 eV per atom

abc: 17.513 17.520 18.372
angles: 90.00 90.00 90.00
Positions (direct):
Cd 0.501 0.666 0.165
In 0.830 0.834 0.666
Se 0.075 0.094 0.090
Se 0.093 0.407 0.422
Cd 0.500 0.333 0.499
In 0.169 0.500 0.666
In 0.669 0.998 0.666
In 0.331 0.333 0.334
In 0.331 0.002 0.666
Cd 0.335 0.501 0.835
In 0.169 0.169 0.333
Se 0.745 0.245 0.577
Se 0.074 0.426 0.088
Se 0.909 0.590 0.754
In 0.500 0.167 0.667
Se 0.926 0.241 0.088
In 0.666 0.334 0.999
Se 0.907 0.074 0.579
Se 0.255 0.755 0.577
Se 0.741 0.759 0.088
Se 0.074 0.908 0.244
In 0.831 0.167 0.666
Se 0.926 0.092 0.244
In 0.834 0.166 0.999
Se 0.426 0.741 0.756
Se 0.742 0.574 0.243
Cd 0.500 0.667 0.499
In 0.000 0.333 0.333
In 0.330 0.666 0.334
Se 0.574 0.926 0.755
Se 0.909 0.258 0.754
In 0.169 0.833 0.666
Cd 0.500 0.000 0.499
Se 0.091 0.077 0.755
Se 0.907 0.259 0.422
Se 0.241 0.408 0.911
In 0.000 0.667 0.000
Se 0.426 0.408 0.756
Se 0.245 0.255 0.423
In 0.831 0.498 0.334
In 0.668 0.664 0.666
Cd 0.500 0.500 0.000
Se 0.759 0.408 0.756
Se 0.093 0.074 0.421
Se 0.074 0.759 0.088
Se 0.593 0.241 0.089
Se 0.407 0.759 0.422
Se 0.258 0.759 0.244
In 0.332 0.336 0.666
Se 0.409 0.577 0.245
Se 0.755 0.745 0.423
In 0.000 0.000 0.333
Se 0.094 0.925 0.910
Se 0.093 0.593 0.578
Se 0.092 0.592 0.912
Se 0.407 0.907 0.578
In 0.334 0.334 0.001
Se 0.426 0.259 0.912
In 0.500 0.833 0.334
Se 0.242 0.926 0.757
Se 0.246 0.587 0.423
In 0.000 0.667 0.333
Se 0.407 0.093 0.422
In 0.500 0.500 0.667
Cd 0.000 0.500 0.501
Cd 0.000 0.833 0.501
Se 0.091 0.742 0.754
Se 0.241 0.741 0.912
In 0.000 0.667 0.666
Se 0.591 0.090 0.246
Se 0.259 0.092 0.244
Se 0.245 0.922 0.423
Se 0.093 0.259 0.578
Se 0.074 0.574 0.245
In 0.831 0.500 0.666
In 0.833 0.500 0.000
In 0.000 0.333 0.666
Cd 0.667 0.167 0.834
Se 0.591 0.758 0.246
Se 0.425 0.594 0.910
Se 0.259 0.574 0.089
Cd 0.334 0.167 0.834
Se 0.574 0.259 0.756
In 0.170 0.166 0.666
Se 0.242 0.259 0.756
In 0.500 0.167 0.000
Se 0.259 0.908 0.089
In 0.834 0.834 0.001
In 0.670 0.334 0.334
Se 0.409 0.910 0.246
Cd 0.999 0.166 0.835
Se 0.745 0.578 0.577
Se 0.741 0.092 0.089
Cd 0.499 0.334 0.165
In 0.831 0.831 0.333
In 0.331 0.669 0.667
Se 0.907 0.593 0.422
Cd 0.167 0.333 0.166
Cd 0.000 0.167 0.501
Se 0.925 0.906 0.090
Se 0.909 0.923 0.755
Cd 0.835 0.999 0.165
Se 0.906 0.075 0.910
In 0.500 0.167 0.334
In 0.669 0.667 0.334
In 0.832 0.164 0.334
Se 0.241 0.074 0.911
Cd 0.333 0.833 0.834
In 0.167 0.500 0.000
Se 0.407 0.241 0.578
Se 0.926 0.759 0.244
Se 0.591 0.423 0.245
Se 0.241 0.592 0.756
In 0.500 0.833 0.667
Cd 0.000 0.500 0.834
Se 0.406 0.425 0.090
Cd 0.834 0.333 0.166
Se 0.407 0.759 0.089
Se 0.746 0.913 0.577
In 0.166 0.834 0.999
Cd 0.001 0.834 0.835
Se 0.907 0.741 0.578
Se 0.926 0.426 0.245
Se 0.407 0.426 0.421
In 0.669 0.331 0.667
In 0.333 0.000 0.000
Cd 0.500 0.000 0.166
Se 0.426 0.074 0.755
Se 0.759 0.259 0.912
In 0.169 0.502 0.334
Se 0.255 0.422 0.577
Se 0.907 0.741 0.911
Se 0.593 0.093 0.578
In 0.000 0.000 0.667
Se 0.742 0.241 0.244
Se 0.593 0.759 0.578
In 0.667 0.000 0.000
Se 0.408 0.092 0.088
Cd 0.666 0.833 0.834
Se 0.259 0.241 0.088
Se 0.758 0.074 0.757
Se 0.758 0.741 0.756
In 0.331 0.000 0.334
Se 0.426 0.926 0.912
Cd 0.000 0.000 0.000
Se 0.908 0.408 0.912
Se 0.593 0.426 0.579
Se 0.907 0.926 0.421
Se 0.755 0.078 0.423
In 0.168 0.836 0.334
Se 0.592 0.908 0.088
Se 0.254 0.087 0.577
Se 0.574 0.074 0.912
Se 0.093 0.741 0.422
Se 0.593 0.574 0.421
Se 0.593 0.241 0.422
Se 0.574 0.592 0.756
Se 0.926 0.574 0.088
In 0.500 0.833 0.000
In 0.669 0.000 0.334
In 0.166 0.166 0.001
In 0.000 0.333 0.000
Se 0.093 0.926 0.579
In 0.500 0.500 0.333
Cd 0.665 0.499 0.835
Se 0.741 0.426 0.089
Se 0.741 0.908 0.244
Se 0.759 0.926 0.911
Se 0.574 0.741 0.912
In 0.334 0.666 0.999
In 0.666 0.666 0.001
Se 0.759 0.592 0.911
Cd 0.165 0.001 0.165
Se 0.258 0.426 0.243
Cd 0.833 0.667 0.166
Se 0.409 0.242 0.246
Se 0.594 0.575 0.090
Se 0.575 0.406 0.910
Se 0.407 0.574 0.579
Se 0.907 0.407 0.578
Se 0.754 0.413 0.423
Se 0.593 0.907 0.422
Se 0.074 0.241 0.244
Se 0.091 0.410 0.754
Se 0.093 0.259 0.911
Cd 0.166 0.667 0.166


A relaxed Mg3Al7Si4O22 crystal, computed with PBE.

Computed properties:
Calculated formation energy ... -116.64 eV per formula unit
Volume ... 10.64 Å³ per atom
Uncorrected energy ... -7.308 eV per atom

abc: 6.800 10.681 10.681
angles: 99.13 90.00 90.00
Positions (direct):
O 0.550 0.781 0.419
Mg 0.250 0.259 0.016
O 0.250 0.633 0.832
Si 0.250 0.950 0.755
O 0.550 0.589 0.589
O 0.750 0.369 0.165
O 0.750 0.550 0.359
Si 0.750 0.655 0.655
O 0.750 0.903 0.903
Al 0.750 0.547 0.174
O 0.750 0.999 0.532
O 0.250 0.196 0.363
O 0.448 0.756 0.037
O 0.750 0.635 0.804
O 0.750 0.165 0.369
O 0.950 0.781 0.419
Al 0.499 0.785 0.211
O 0.750 0.180 0.730
O 0.750 0.730 0.180
O 0.750 0.804 0.635
O 0.250 0.646 0.448
Si 0.750 0.048 0.245
O 0.950 0.589 0.589
O 0.250 0.813 0.272
O 0.250 0.879 0.879
Al 0.250 0.518 0.149
Al 0.000 0.402 0.595
Si 0.250 0.341 0.341
O 0.250 0.363 0.196
O 0.948 0.959 0.242
O 0.448 0.037 0.756
Al 0.499 0.211 0.785
Al 0.500 0.595 0.402
Mg 0.750 0.749 0.987
O 0.250 0.832 0.633
O 0.948 0.242 0.959
Si 0.750 0.245 0.048
O 0.250 0.448 0.646
O 0.052 0.037 0.756
O 0.552 0.959 0.242
O 0.250 0.272 0.813
O 0.033 0.223 0.591
Si 0.250 0.755 0.950
O 0.552 0.242 0.959
O 0.447 0.413 0.413
O 0.550 0.419 0.781
Mg 0.250 0.647 0.647
O 0.750 0.123 0.123
Si 0.750 0.850 0.489
Al 0.250 0.455 0.828
O 0.467 0.223 0.591
Al 0.001 0.785 0.211
O 0.467 0.591 0.223
O 0.053 0.413 0.413
Al 0.001 0.211 0.785
O 0.750 0.359 0.550
Si 0.750 0.489 0.850
Al 0.250 0.828 0.455
O 0.750 0.532 0.999
Al 0.000 0.595 0.402
O 0.033 0.591 0.223
Mg 0.750 0.351 0.351
O 0.250 0.095 0.095
Al 0.500 0.402 0.595
Mg 0.750 0.987 0.749
O 0.250 0.992 0.463
O 0.950 0.419 0.781
O 0.250 0.463 0.992
Al 0.250 0.149 0.518
Al 0.750 0.174 0.547
O 0.052 0.756 0.037
Mg 0.250 0.016 0.259


A relaxed Er2Te4O11 crystal, computed with PBE.

Computed properties:
Calculated formation energy ... -39.26 eV per formula unit
Volume ... 14.74 Å³ per atom
Uncorrected energy ... -6.344 eV per atom

abc: 6.725 6.725 16.257
angles: 75.90 75.90 44.97
Positions (direct):
Er 0.631 0.130 0.037
Er 0.369 0.870 0.963
O 0.551 0.401 0.595
Er 0.130 0.631 0.537
O 0.191 0.315 0.127
Te 0.155 0.590 0.875
O 0.208 0.091 0.834
Te 0.590 0.155 0.375
Te 0.598 0.158 0.698
O 0.685 0.809 0.373
O 0.401 0.551 0.095
O 0.827 0.036 0.456
O 0.146 0.854 0.250
Te 0.402 0.842 0.302
O 0.909 0.792 0.666
Te 0.842 0.402 0.802
O 0.754 0.661 0.552
O 0.091 0.208 0.334
O 0.661 0.754 0.052
O 0.854 0.146 0.750
O 0.449 0.599 0.405
Er 0.870 0.369 0.463
O 0.809 0.685 0.873
Te 0.158 0.598 0.198
O 0.339 0.246 0.948
O 0.173 0.964 0.544
O 0.315 0.191 0.627
O 0.792 0.909 0.166
O 0.036 0.827 0.956
O 0.246 0.339 0.448
O 0.599 0.449 0.905
Te 0.845 0.410 0.125
O 0.964 0.173 0.044
Te 0.410 0.845 0.625


A relaxed SiB11H10C4F11 crystal, computed with PBE.

Computed properties:
Calculated formation energy ... -46.97 eV per formula unit
Volume ... 11.80 Å³ per atom
Uncorrected energy ... -5.748 eV per atom

abc: 7.862 12.374 18.491
angles: 76.19 90.00 90.00
Positions (direct):
Si 0.796 0.274 0.936
C 0.434 0.109 0.203
F 0.847 0.857 0.723
F 0.041 0.969 0.413
F 0.038 0.300 0.110
B 0.618 0.649 0.908
H 0.006 0.398 0.864
H 0.414 0.908 0.564
F 0.227 0.411 0.721
F 0.641 0.546 0.955
H 0.840 0.299 0.315
B 0.976 0.777 0.262
B 0.298 0.266 0.629
H 0.474 0.782 0.115
F 0.819 0.301 0.524
B 0.232 0.124 0.641
H 0.021 0.865 0.983
C 0.547 0.388 0.420
B 0.447 0.674 0.840
F 0.773 0.589 0.279
B 0.239 0.186 0.719
H 0.894 0.467 0.923
B 0.168 0.327 0.690
F 0.153 0.143 0.277
B 0.444 0.738 0.918
H 0.771 0.080 0.012
F 0.472 0.791 0.690
H 0.540 0.366 0.873
B 0.842 0.775 0.439
B 0.056 0.738 0.418
F 0.859 0.546 0.455
H 0.558 0.631 0.540
F 0.319 0.699 0.976
C 0.047 0.612 0.080
F 0.653 0.857 0.223
B 0.485 0.121 0.111
F 0.662 0.964 0.360
C 0.566 0.891 0.797
F 0.838 0.964 0.860
F 0.462 0.300 0.610
H 0.994 0.602 0.136
B 0.985 0.879 0.389
F 0.162 0.036 0.140
Si 0.296 0.726 0.564
H 0.526 0.218 0.885
H 0.521 0.135 0.517
F 0.538 0.700 0.390
H 0.050 0.027 0.740
B 0.832 0.673 0.310
H 0.506 0.602 0.636
B 0.798 0.734 0.871
H 0.058 0.369 0.960
C 0.128 0.868 0.020
F 0.972 0.209 0.810
B 0.268 0.124 0.141
C 0.388 0.710 0.128
F 0.835 0.407 0.667
F 0.273 0.411 0.221
B 0.385 0.818 0.828
H 0.106 0.533 0.077
C 0.888 0.290 0.372
B 0.944 0.262 0.582
B 0.553 0.326 0.160
B 0.615 0.182 0.172
F 0.771 0.138 0.194
F 0.788 0.773 0.510
C 0.112 0.710 0.628
H 0.494 0.398 0.364
F 0.181 0.699 0.476
F 0.141 0.454 0.545
B 0.202 0.266 0.129
H 0.942 0.631 0.040
F 0.959 0.031 0.587
B 0.524 0.777 0.762
C 0.453 0.612 0.580
H 0.979 0.135 0.017
C 0.066 0.109 0.703
B 0.158 0.225 0.561
B 0.658 0.775 0.939
B 0.332 0.327 0.190
C 0.934 0.891 0.297
B 0.261 0.186 0.219
H 0.550 0.973 0.760
H 0.086 0.908 0.064
H 0.394 0.533 0.577
F 0.729 0.138 0.694
B 0.118 0.351 0.592
B 0.556 0.262 0.082
F 0.288 0.227 0.990
F 0.681 0.301 0.024
B 0.732 0.876 0.859
F 0.212 0.227 0.490
B 0.768 0.876 0.359
B 0.668 0.673 0.810
F 0.338 0.036 0.640
B 0.885 0.182 0.672
B 0.115 0.818 0.328
F 0.229 0.862 0.806
B 0.053 0.674 0.340
H 0.974 0.218 0.385
H 0.026 0.782 0.615
F 0.665 0.407 0.167
H 0.340 0.701 0.185
F 0.528 0.209 0.310
B 0.342 0.225 0.061
B 0.739 0.814 0.781
B 0.024 0.223 0.738
B 0.947 0.326 0.660
F 0.712 0.773 0.010
H 0.586 0.092 0.436
H 0.040 0.634 0.627
H 0.960 0.366 0.373
F 0.359 0.454 0.045
F 0.335 0.593 0.833
H 0.479 0.865 0.483
H 0.271 0.920 0.488
B 0.476 0.223 0.238
H 0.660 0.299 0.815
H 0.914 0.092 0.936
F 0.347 0.143 0.777
H 0.160 0.701 0.685
B 0.882 0.649 0.408
F 0.727 0.589 0.779
B 0.702 0.734 0.371
F 0.028 0.791 0.190
Si 0.704 0.274 0.436
C 0.372 0.868 0.520
F 0.962 0.700 0.890
B 0.382 0.351 0.092
C 0.612 0.290 0.872
C 0.953 0.388 0.920
H 0.460 0.634 0.127
C 0.872 0.132 0.980
B 0.761 0.814 0.281
H 0.229 0.920 0.988
F 0.459 0.969 0.913
F 0.165 0.593 0.333
H 0.442 0.369 0.460
B 0.015 0.121 0.611
F 0.271 0.862 0.306
H 0.950 0.973 0.260
C 0.628 0.132 0.480
H 0.450 0.027 0.240
H 0.729 0.080 0.512
Si 0.204 0.726 0.064
B 0.515 0.879 0.889
F 0.541 0.031 0.087
H 0.606 0.467 0.423


- Number 1 is which compound?
  Cd13In26Se54